# La2MgZnMoO6

A geometry-optimized La2MgZnMoO6 structure (PBE+U, Materials Project).

Calculated formation energy, eV per atom: -2.62
M_tot, μB per formula unit: 2.00
Relative energy among the computed polymorphs, kJ per mole of atoms: 0.0

CIF file:
```
data_La2MgZnMoO6
_chemical_formula_sum 'La2 Mg1 Zn1 Mo1 O6'
_cell_length_a 5.805
_cell_length_b 5.806
_cell_length_c 6.009
_cell_angle_alpha 62.08
_cell_angle_beta 74.71
_cell_angle_gamma 60.11
_space_group_name_H-M_alt 'P 1'
_space_group_IT_number 1
_space_group_name_Hall 'P 1'
loop_
_atom_site_label
_atom_site_type_symbol
_atom_site_fract_x
_atom_site_fract_y
_atom_site_fract_z
La1 La 0.000 0.000 0.000
La2 La 0.360 0.442 0.636
Mg1 Mg 0.716 0.788 0.515
Zn1 Zn 0.626 0.667 0.058
Mo1 Mo 0.176 0.205 0.342
O1 O 0.004 0.900 0.438
O2 O 0.357 0.517 0.214
O3 O 0.408 0.967 0.715
O4 O 0.572 0.975 0.155
O5 O 0.808 0.385 0.586
O6 O 0.989 0.443 0.963
```

---

# Li2Mn2OF6

A geometry-optimized Li2Mn2OF6 structure (PBE+U, Materials Project).

Calculated formation energy, eV per atom: -2.81
M_tot, μB per formula unit: 8.00
Relative energy among the computed polymorphs, kJ per mole of atoms: 0.0

CIF file:
```
data_Li2Mn2OF6
_chemical_formula_sum 'Li4 Mn4 O2 F12'
_cell_length_a 5.727
_cell_length_b 7.034
_cell_length_c 7.423
_cell_angle_alpha 62.80
_cell_angle_beta 71.13
_cell_angle_gamma 78.82
_space_group_name_H-M_alt 'P -1'
_space_group_IT_number 2
_space_group_name_Hall '-P 1'
loop_
_atom_site_label
_atom_site_type_symbol
_atom_site_fract_x
_atom_site_fract_y
_atom_site_fract_z
Li1 Li 0.190 0.106 0.288
Li2 Li 0.290 0.630 0.581
Mn1 Mn 0.159 0.083 0.778
Mn2 Mn 0.278 0.638 0.092
O1 O 0.001 0.819 0.999
F1 F 0.081 0.398 0.256
F2 F 0.185 0.782 0.308
F3 F 0.211 0.962 0.579
F4 F 0.341 0.329 0.594
F5 F 0.429 0.524 0.839
F6 F 0.473 0.881 0.887
```

---

# FeOF

A geometry-optimized FeOF structure (PBE+U, Materials Project).

Calculated formation energy, eV per atom: -2.00
M_tot, μB per formula unit: 4.83

CIF file:
```
data_FeOF
_chemical_formula_sum 'Fe12 O12 F12'
_cell_length_a 9.491
_cell_length_b 3.078
_cell_length_c 14.178
_cell_angle_alpha 90.00
_cell_angle_beta 90.09
_cell_angle_gamma 90.00
_space_group_name_H-M_alt 'P 1 m 1'
_space_group_IT_number 6
_space_group_name_Hall 'P -2y'
loop_
_atom_site_label
_atom_site_type_symbol
_atom_site_fract_x
_atom_site_fract_y
_atom_site_fract_z
Fe1 Fe 0.000 0.000 0.000
Fe2 Fe 0.004 0.000 0.668
Fe3 Fe 0.011 0.000 0.363
Fe4 Fe 0.250 0.500 0.515
Fe5 Fe 0.270 0.500 0.181
Fe6 Fe 0.283 0.500 0.836
Fe7 Fe 0.475 0.000 0.351
Fe8 Fe 0.489 0.000 0.666
Fe9 Fe 0.523 0.000 0.981
Fe10 Fe 0.755 0.500 0.182
Fe11 Fe 0.777 0.500 0.835
Fe12 Fe 0.780 0.500 0.510
O1 O 0.108 0.500 0.409
O2 O 0.155 0.000 0.580
O3 O 0.346 0.000 0.449
O4 O 0.361 0.000 0.776
O5 O 0.399 0.500 0.278
O6 O 0.407 0.500 0.608
O7 O 0.414 0.500 0.944
O8 O 0.677 0.000 0.896
O9 O 0.849 0.000 0.441
O10 O 0.865 0.000 0.773
O11 O 0.911 0.500 0.611
O12 O 0.920 0.500 0.943
F1 F 0.110 0.500 0.747
F2 F 0.115 0.500 0.075
F3 F 0.157 0.000 0.235
F4 F 0.168 0.000 0.910
F5 F 0.359 0.000 0.112
F6 F 0.595 0.500 0.409
F7 F 0.610 0.500 0.071
F8 F 0.611 0.500 0.731
F9 F 0.652 0.000 0.248
F10 F 0.660 0.000 0.572
F11 F 0.865 0.000 0.113
F12 F 0.918 0.500 0.276
```

---

We obtain E_tot values of -6.793 -5.700 -5.976 eV/atom for the records listed above, in that order.